The following is a meta-GGA r2SCAN calculation of an optimized crystal structure of HoGa2Ni3, from the Materials Project.

Output
Its space group is No. 189. For the formation energy, the calculation gives -3.472 eV per formula unit.

Cell lengths 8.678, 8.678, 4.028 Å; angles 90.00, 90.00, 120.00 degrees
Fractional coordinates of all 18 atoms:
Ho (0.000, 0.000, 0.000)
Ho (0.333, 0.667, 0.500)
Ho (0.667, 0.333, 0.500)
Ga (0.000, 0.271, 0.500)
Ga (0.000, 0.520, 0.000)
Ga (0.271, 0.000, 0.500)
Ga (0.480, 0.480, 0.000)
Ga (0.520, 0.000, 0.000)
Ga (0.729, 0.729, 0.500)
Ni (0.000, 0.708, 0.500)
Ni (0.173, 0.373, 0.000)
Ni (0.200, 0.827, 0.000)
Ni (0.292, 0.292, 0.500)
Ni (0.373, 0.173, 0.000)
Ni (0.627, 0.800, 0.000)
Ni (0.708, 0.000, 0.500)
Ni (0.800, 0.627, 0.000)
Ni (0.827, 0.200, 0.000)